DFT (PBE) results for an optimized crystal structure of Nb4FeS8.

Space group   P6_3/mmc
Distance to the lowest polymorph of the same formula   0.000 eV/atom

a = 6.647 Å, b = 6.647 Å, c = 11.679 Å
α = 90.00°, β = 90.00°, γ = 120.00°
Fractional positions:
Nb: 0.000 0.000 0.250
Nb: 0.000 0.000 0.750
Nb: 0.013 0.506 0.250
Nb: 0.494 0.506 0.250
Nb: 0.494 0.987 0.250
Nb: 0.506 0.013 0.750
Nb: 0.506 0.494 0.750
Nb: 0.987 0.494 0.750
Fe: 0.000 0.000 0.000
Fe: 0.000 0.000 0.500
S: 0.164 0.329 0.615
S: 0.164 0.329 0.885
S: 0.164 0.836 0.615
S: 0.164 0.836 0.885
S: 0.329 0.164 0.115
S: 0.329 0.164 0.385
S: 0.333 0.667 0.112
S: 0.333 0.667 0.388
S: 0.667 0.333 0.612
S: 0.667 0.333 0.888
S: 0.671 0.836 0.615
S: 0.671 0.836 0.885
S: 0.836 0.164 0.115
S: 0.836 0.164 0.385
S: 0.836 0.671 0.115
S: 0.836 0.671 0.385

***

DFT (PBE) results for an optimized crystal structure of Bi2Te2S.

Space group   R-3m
Distance to the lowest polymorph of the same formula   0.000 eV/atom

a = 4.292 Å, b = 4.292 Å, c = 31.940 Å
α = 90.00°, β = 90.00°, γ = 120.00°
Fractional positions:
Bi: 0.000 0.000 0.112
Bi: 0.000 0.000 0.888
Bi: 0.333 0.667 0.555
Bi: 0.333 0.667 0.779
Bi: 0.667 0.333 0.221
Bi: 0.667 0.333 0.445
Te: 0.000 0.000 0.277
Te: 0.000 0.000 0.723
Te: 0.333 0.667 0.389
Te: 0.333 0.667 0.944
Te: 0.667 0.333 0.056
Te: 0.667 0.333 0.611
S: 0.000 0.000 0.500
S: 0.333 0.667 0.167
S: 0.667 0.333 0.833

***

DFT (PBE) results for an optimized crystal structure of MgZn.

Space group   P-3m1
Raw total energy   -1.42 eV per atom

a = 3.080 Å, b = 3.080 Å, c = 9.160 Å
α = 90.00°, β = 90.00°, γ = 120.00°
Fractional positions:
Mg: 0.333 0.667 0.143
Mg: 0.667 0.333 0.857
Zn: 0.333 0.667 0.610
Zn: 0.667 0.333 0.390

***

DFT (PBE) results for an optimized crystal structure of Li2InSn.

Space group   Fm-3m
Raw total energy   -2.95 eV per atom

a = 6.843 Å, b = 6.843 Å, c = 6.843 Å
α = 90.00°, β = 90.00°, γ = 90.00°
Fractional positions:
Li: 0.250 0.250 0.250
Li: 0.250 0.250 0.750
Li: 0.250 0.750 0.250
Li: 0.250 0.750 0.750
Li: 0.750 0.250 0.250
Li: 0.750 0.250 0.750
Li: 0.750 0.750 0.250
Li: 0.750 0.750 0.750
In: 0.000 0.000 0.000
In: 0.000 0.500 0.500
In: 0.500 0.000 0.500
In: 0.500 0.500 0.000
Sn: 0.000 0.000 0.500
Sn: 0.000 0.500 0.000
Sn: 0.500 0.000 0.000
Sn: 0.500 0.500 0.500

***

DFT (PBE) results for an optimized crystal structure of Pr3IrO7.

Space group   Cmcm
Raw total energy   -7.79 eV per atom

a = 6.707 Å, b = 6.707 Å, c = 7.643 Å
α = 90.00°, β = 90.00°, γ = 68.63°
Fractional positions:
Pr: 0.000 0.000 0.000
Pr: 0.000 0.000 0.500
Pr: 0.083 0.474 0.750
Pr: 0.474 0.083 0.250
Pr: 0.526 0.917 0.750
Pr: 0.917 0.526 0.250
Ir: 0.500 0.500 0.000
Ir: 0.500 0.500 0.500
O: 0.107 0.157 0.250
O: 0.157 0.107 0.750
O: 0.190 0.559 0.039
O: 0.190 0.559 0.461
O: 0.412 0.588 0.750
O: 0.441 0.810 0.039
O: 0.441 0.810 0.461
O: 0.559 0.190 0.539
O: 0.559 0.190 0.961
O: 0.588 0.412 0.250
O: 0.810 0.441 0.539
O: 0.810 0.441 0.961
O: 0.843 0.893 0.250
O: 0.893 0.843 0.750

***

DFT (PBE) results for an optimized crystal structure of KTe3O6F.

Space group   R-3
Raw total energy   -5.19 eV per atom

a = 7.316 Å, b = 7.316 Å, c = 7.316 Å
α = 82.32°, β = 82.32°, γ = 82.32°
Fractional positions:
K: 0.153 0.153 0.153
K: 0.847 0.847 0.847
Te: 0.122 0.635 0.353
Te: 0.353 0.122 0.635
Te: 0.365 0.647 0.878
Te: 0.635 0.353 0.122
Te: 0.647 0.878 0.365
Te: 0.878 0.365 0.647
O: 0.044 0.548 0.651
O: 0.062 0.148 0.657
O: 0.148 0.657 0.062
O: 0.343 0.938 0.852
O: 0.349 0.956 0.452
O: 0.452 0.349 0.956
O: 0.548 0.651 0.044
O: 0.651 0.044 0.548
O: 0.657 0.062 0.148
O: 0.852 0.343 0.938
O: 0.938 0.852 0.343
O: 0.956 0.452 0.349
F: 0.350 0.350 0.350
F: 0.650 0.650 0.650

***

DFT (PBE) results for an optimized crystal structure of CaYMg14O16.

Space group   P4/mmm
Distance to the lowest polymorph of the same formula   0.000 eV/atom

a = 8.763 Å, b = 8.763 Å, c = 4.421 Å
α = 90.00°, β = 90.00°, γ = 90.00°
Fractional positions:
Ca: 0.000 0.000 0.000
Y: 0.500 0.500 0.000
Mg: 0.000 0.254 0.500
Mg: 0.000 0.500 0.000
Mg: 0.000 0.746 0.500
Mg: 0.238 0.500 0.500
Mg: 0.246 0.246 0.000
Mg: 0.246 0.754 0.000
Mg: 0.254 0.000 0.500
Mg: 0.500 0.000 0.000
Mg: 0.500 0.238 0.500
Mg: 0.500 0.762 0.500
Mg: 0.746 0.000 0.500
Mg: 0.754 0.246 0.000
Mg: 0.754 0.754 0.000
Mg: 0.762 0.500 0.500
O: 0.000 0.000 0.500
O: 0.000 0.262 0.000
O: 0.000 0.500 0.500
O: 0.000 0.738 0.000
O: 0.242 0.500 0.000
O: 0.249 0.249 0.500
O: 0.249 0.751 0.500
O: 0.262 0.000 0.000
O: 0.500 0.000 0.500
O: 0.500 0.242 0.000
O: 0.500 0.500 0.500
O: 0.500 0.758 0.000
O: 0.738 0.000 0.000
O: 0.751 0.249 0.500
O: 0.751 0.751 0.500
O: 0.758 0.500 0.000

***

DFT (PBE) results for an optimized crystal structure of Rb8PO3.

Space group   Pm-3m
Raw total energy   -2.96 eV per atom

a = 7.224 Å, b = 7.224 Å, c = 7.224 Å
α = 90.00°, β = 90.00°, γ = 90.00°
Fractional positions:
Rb: 0.238 0.238 0.238
Rb: 0.238 0.238 0.762
Rb: 0.238 0.762 0.238
Rb: 0.238 0.762 0.762
Rb: 0.762 0.238 0.238
Rb: 0.762 0.238 0.762
Rb: 0.762 0.762 0.238
Rb: 0.762 0.762 0.762
P: 0.500 0.500 0.500
O: 0.000 0.000 0.500
O: 0.000 0.500 0.000
O: 0.500 0.000 0.000

***

DFT (PBE) results for an optimized crystal structure of NaTi2P4O14.

Space group   P1
Raw total energy   -7.60 eV per atom

a = 4.914 Å, b = 7.087 Å, c = 8.112 Å
α = 90.84°, β = 93.80°, γ = 105.73°
Fractional positions:
Na: 0.000 0.000 0.000
Ti: 0.065 0.007 0.492
Ti: 0.562 0.504 0.991
P: 0.054 0.382 0.235
P: 0.075 0.633 0.747
P: 0.443 0.772 0.293
P: 0.687 0.244 0.689
O: 0.154 0.808 0.638
O: 0.207 0.338 0.086
O: 0.244 0.905 0.300
O: 0.271 0.555 0.347
O: 0.333 0.562 0.801
O: 0.432 0.188 0.563
O: 0.529 0.753 0.115
O: 0.606 0.263 0.868
O: 0.697 0.828 0.420
O: 0.796 0.453 0.182
O: 0.859 0.460 0.635
O: 0.883 0.109 0.683
O: 0.918 0.675 0.896
O: 0.974 0.205 0.343

***

DFT (PBE) results for an optimized crystal structure of KMg14B.

Space group   P-6m2
Distance to the lowest polymorph of the same formula   0.042 eV/atom

a = 6.368 Å, b = 6.368 Å, c = 10.580 Å
α = 90.00°, β = 90.00°, γ = 120.00°
Fractional positions:
K: 0.000 0.000 0.000
Mg: 0.009 0.504 0.000
Mg: 0.163 0.327 0.278
Mg: 0.163 0.327 0.722
Mg: 0.163 0.837 0.278
Mg: 0.163 0.837 0.722
Mg: 0.496 0.504 0.000
Mg: 0.496 0.991 0.000
Mg: 0.504 0.009 0.500
Mg: 0.504 0.496 0.500
Mg: 0.667 0.333 0.241
Mg: 0.667 0.333 0.759
Mg: 0.673 0.837 0.278
Mg: 0.673 0.837 0.722
Mg: 0.991 0.496 0.500
B: 0.000 0.000 0.500

***

DFT (PBE) results for an optimized crystal structure of Mg3Si2H4O9.

Maximum piezoelectric response   0.64 C/m2
Space group   P31m
Raw total energy   -6.35 eV per atom

a = 5.371 Å, b = 5.371 Å, c = 7.378 Å
α = 90.00°, β = 90.00°, γ = 120.00°
Fractional positions:
Mg: 0.000 0.331 0.000
Mg: 0.331 0.000 0.000
Mg: 0.669 0.669 0.000
Si: 0.333 0.667 0.618
Si: 0.667 0.333 0.618
H: 0.000 0.000 0.718
H: 0.000 0.651 0.264
H: 0.349 0.349 0.264
H: 0.651 0.000 0.264
O: 0.000 0.000 0.849
O: 0.000 0.511 0.535
O: 0.000 0.665 0.133
O: 0.333 0.667 0.837
O: 0.335 0.335 0.133
O: 0.489 0.489 0.535
O: 0.511 0.000 0.535
O: 0.665 0.000 0.133
O: 0.667 0.333 0.837

***

DFT (PBE) results for an optimized crystal structure of ZrIn.

Space group   P4/mmm
Raw total energy   -5.96 eV per atom

a = 3.164 Å, b = 3.164 Å, c = 4.458 Å
α = 90.00°, β = 90.00°, γ = 90.00°
Fractional positions:
Zr: 0.000 0.000 0.000
In: 0.500 0.500 0.500

***

DFT (PBE) results for an optimized crystal structure of BaCu2Hg2O4.

Space group   P4/nbm
Raw total energy   -4.32 eV per atom

a = 6.962 Å, b = 6.962 Å, c = 6.637 Å
α = 90.00°, β = 90.00°, γ = 90.00°
Fractional positions:
Ba: 0.250 0.250 0.000
Ba: 0.750 0.750 0.000
Cu: 0.000 0.000 0.500
Cu: 0.000 0.500 0.500
Cu: 0.500 0.000 0.500
Cu: 0.500 0.500 0.500
Hg: 0.250 0.750 0.241
Hg: 0.250 0.750 0.759
Hg: 0.750 0.250 0.241
Hg: 0.750 0.250 0.759
O: 0.039 0.539 0.228
O: 0.039 0.961 0.772
O: 0.461 0.539 0.772
O: 0.461 0.961 0.228
O: 0.539 0.039 0.772
O: 0.539 0.461 0.228
O: 0.961 0.039 0.228
O: 0.961 0.461 0.772

***

DFT (PBE) results for an optimized crystal structure of UPCl7O.

Space group   P2_1/c
Raw total energy   -4.89 eV per atom

a = 9.098 Å, b = 8.555 Å, c = 17.656 Å
α = 90.00°, β = 120.52°, γ = 90.00°
Fractional positions:
U: 0.090 0.216 0.277
U: 0.090 0.284 0.777
U: 0.910 0.716 0.223
U: 0.910 0.784 0.723
P: 0.427 0.742 0.116
P: 0.427 0.758 0.616
P: 0.573 0.242 0.384
P: 0.573 0.258 0.884
Cl: 0.070 0.245 0.914
Cl: 0.070 0.255 0.414
Cl: 0.127 0.182 0.144
Cl: 0.127 0.318 0.644
Cl: 0.192 0.593 0.826
Cl: 0.192 0.907 0.326
Cl: 0.199 0.525 0.296
Cl: 0.199 0.975 0.796
Cl: 0.282 0.554 0.066
Cl: 0.282 0.946 0.566
Cl: 0.312 0.589 0.529
Cl: 0.312 0.911 0.029
Cl: 0.415 0.698 0.721
Cl: 0.415 0.802 0.221
Cl: 0.585 0.198 0.779
Cl: 0.585 0.302 0.279
Cl: 0.688 0.089 0.971
Cl: 0.688 0.411 0.471
Cl: 0.718 0.054 0.434
Cl: 0.718 0.446 0.934
Cl: 0.801 0.025 0.204
Cl: 0.801 0.475 0.704
Cl: 0.808 0.093 0.674
Cl: 0.808 0.407 0.174
Cl: 0.873 0.682 0.356
Cl: 0.873 0.818 0.856
Cl: 0.930 0.745 0.586
Cl: 0.930 0.755 0.086
O: 0.395 0.214 0.364
O: 0.395 0.286 0.864
O: 0.605 0.714 0.136
O: 0.605 0.786 0.636

***

DFT (PBE) results for an optimized crystal structure of Zr2Co12P7.

Space group   P-6
Raw total energy   -7.47 eV per atom

a = 8.922 Å, b = 8.922 Å, c = 3.560 Å
α = 90.00°, β = 90.00°, γ = 120.00°
Fractional positions:
Zr: 0.000 0.000 0.000
Zr: 0.333 0.667 0.500
Co: 0.052 0.772 0.500
Co: 0.105 0.396 0.000
Co: 0.228 0.280 0.500
Co: 0.292 0.895 0.000
Co: 0.390 0.215 0.000
Co: 0.537 0.105 0.500
Co: 0.568 0.463 0.500
Co: 0.604 0.708 0.000
Co: 0.720 0.948 0.500
Co: 0.785 0.175 0.000
Co: 0.825 0.610 0.000
Co: 0.895 0.432 0.500
P: 0.076 0.625 0.000
P: 0.261 0.044 0.500
P: 0.375 0.451 0.000
P: 0.549 0.924 0.000
P: 0.667 0.333 0.000
P: 0.782 0.739 0.500
P: 0.956 0.218 0.500

***

DFT (PBE) results for an optimized crystal structure of Sr8PbN6.

Space group   Cm
Raw total energy   -4.75 eV per atom

a = 16.878 Å, b = 16.878 Å, c = 4.985 Å
α = 90.78°, β = 90.78°, γ = 123.19°
Fractional positions:
Sr: 0.000 0.000 0.000
Sr: 0.011 0.563 0.030
Sr: 0.016 0.754 0.537
Sr: 0.052 0.188 0.525
Sr: 0.185 0.851 0.059
Sr: 0.188 0.052 0.525
Sr: 0.212 0.666 0.520
Sr: 0.303 0.437 0.434
Sr: 0.345 0.590 0.936
Sr: 0.364 0.949 0.545
Sr: 0.437 0.303 0.434
Sr: 0.474 0.474 0.950
Sr: 0.524 0.666 0.462
Sr: 0.563 0.011 0.030
Sr: 0.590 0.345 0.936
Sr: 0.644 0.848 0.014
Sr: 0.666 0.212 0.520
Sr: 0.666 0.524 0.462
Sr: 0.686 0.686 0.920
Sr: 0.754 0.016 0.537
Sr: 0.848 0.644 0.014
Sr: 0.851 0.185 0.059
Sr: 0.851 0.851 0.478
Sr: 0.949 0.364 0.545
Pb: 0.259 0.259 0.940
Pb: 0.424 0.790 0.286
Pb: 0.790 0.424 0.286
N: 0.021 0.711 0.034
N: 0.025 0.025 0.502
N: 0.045 0.539 0.528
N: 0.194 0.914 0.560
N: 0.285 0.407 0.932
N: 0.307 0.810 0.207
N: 0.344 0.636 0.441
N: 0.407 0.285 0.932
N: 0.478 0.478 0.451
N: 0.522 0.656 0.961
N: 0.539 0.045 0.528
N: 0.636 0.344 0.441
N: 0.656 0.522 0.961
N: 0.695 0.826 0.521
N: 0.711 0.021 0.034
N: 0.810 0.307 0.207
N: 0.826 0.695 0.521
N: 0.914 0.194 0.560

***

Values for volume, Å³ per cell, ordered as above
446.8, 509.6, 75.3, 320.5, 320.1, 382.0, 339.4, 377.0, 271.2, 371.6, 184.3, 44.6, 321.7, 1183.9, 245.5, 1188.0
Values for calculated density, g cm⁻³, ordered as above
5.08, 6.89, 3.96, 5.13, 7.54, 4.67, 3.55, 3.36, 2.86, 1.74, 2.50, 7.67, 7.53, 2.99, 7.49, 4.16